1.
The following is a meta-GGA r2SCAN calculation of ThCr2B6 after structural relaxation, from Materials Project.

Cell: 3.1094 5.5265 5.5265 Å, 72.71 73.66 73.66°
Positions (direct):
B 0.6965 0.0674 0.5396
B 0.6965 0.5396 0.0674
B 0.3035 0.4604 0.9326
B 0.5000 0.6407 0.3593
B 0.5000 0.3593 0.6407
B 0.3035 0.9326 0.4604
Th 0.0000 0.0000 0.0000
Cr 0.8456 0.6544 0.6544
Cr 0.1544 0.3456 0.3456

Its total DFT energy (no corrections) is -16.9612 eV per atom.



2.
The following is a meta-GGA r2SCAN calculation of VCrB2 after structural relaxation, from Materials Project.

Cell: 4.2193 4.2193 2.9281 Å, 90.00 90.00 138.74°
Positions (direct):
B 0.4372 0.5628 0.0000
B 0.5643 0.4357 0.5000
Cr 0.1463 0.8537 0.0000
V 0.8522 0.1478 0.5000

Its total DFT energy (no corrections) is -11.6166 eV per atom.